Entry from the Materials Project database: an optimized crystal structure of MgBi2O6 (PBE).

Mass density: 7.4 g/cm3
ΔH_f (0 K): -1.7052 eV/atom

Unit cell a=4.9323 b=4.9323 c=9.9325 alpha=90.00 beta=90.00 gamma=90.00
Last column: nearest neighbours and their distance in Å.
Space group P4_2/mnm (No. 136)
Unique sites:
Mg (0.0000, 0.0000, 0.0000) x2  6 O 2.11
Bi (0.0000, 0.0000, 0.3330) x4  6 O 2.14-2.16
O (0.1912, 0.1912, 0.1642) x8  1 Mg 2.11, 2 Bi 2.14-2.15
O (0.1974, 0.1974, 0.5000) x4  1 Mg 2.11, 2 Bi 2.16